[1]
First-principles (meta-GGA r2SCAN) data for Ca2GePd3 after structural relaxation, as listed in the Materials Project. Values from VASP.

Results
Its space group is No. 166. The energy is -16.943 eV per atom. As for the crystal system: trigonal. The total moment is 0.00 μB/f.u.

The structure in Quantum ESPRESSO input format:
```
&SYSTEM
  ibrav = 0, nat = 6, ntyp = 3
/
ATOMIC_SPECIES
Ca 40.08 Ca.upf
Ge 72.64 Ge.upf
Pd 106.42 Pd.upf
ATOMIC_POSITIONS crystal
Ca 0.128 0.128 0.128
Ca 0.872 0.872 0.872
Ge 0.500 0.500 0.500
Pd 0.000 0.500 0.500
Pd 0.500 0.000 0.500
Pd 0.500 0.500 0.000
CELL_PARAMETERS angstrom
2.806 1.620 4.125
-2.806 1.620 4.125
0.000 -3.240 4.125
```


[2]
First-principles (meta-GGA r2SCAN) data for ScAu3 after structural relaxation, as listed in the Materials Project. Values from VASP.

Results
Its space group is No. 225. The energy is -41.412 eV per atom. As for the crystal system: cubic. The total moment is 0.00 μB/f.u.

The structure in Quantum ESPRESSO input format:
```
&SYSTEM
  ibrav = 0, nat = 4, ntyp = 2
/
ATOMIC_SPECIES
Sc 44.96 Sc.upf
Au 196.97 Au.upf
ATOMIC_POSITIONS crystal
Sc 0.000 0.000 0.000
Au 0.250 0.250 0.250
Au 0.500 0.500 0.500
Au 0.750 0.750 0.750
CELL_PARAMETERS angstrom
0.000 3.314 3.314
3.314 0.000 3.314
3.314 3.314 0.000
```


[3]
First-principles (meta-GGA r2SCAN) data for PrAlNi after structural relaxation, as listed in the Materials Project. Values from VASP.

Results
Its space group is No. 189. The energy is -16.516 eV per atom. As for the crystal system: hexagonal. The total moment is 0.00 μB/f.u.

The structure in Quantum ESPRESSO input format:
```
&SYSTEM
  ibrav = 0, nat = 9, ntyp = 3
/
ATOMIC_SPECIES
Pr 140.91 Pr.upf
Al 26.98 Al.upf
Ni 58.69 Ni.upf
ATOMIC_POSITIONS crystal
Pr 0.000 0.420 0.000
Pr 0.420 0.000 0.000
Pr 0.580 0.580 0.000
Al 0.000 0.776 0.500
Al 0.224 0.224 0.500
Al 0.776 0.000 0.500
Ni 0.000 0.000 0.000
Ni 0.333 0.667 0.500
Ni 0.667 0.333 0.500
CELL_PARAMETERS angstrom
7.047 0.000 0.000
-3.523 6.103 0.000
0.000 0.000 4.096
```


[4]
First-principles (meta-GGA r2SCAN) data for Zr5Sn3O after structural relaxation, as listed in the Materials Project. Values from VASP.

Results
Its space group is No. 193. The energy is -22.702 eV per atom. As for the crystal system: hexagonal. The total moment is 0.00 μB/f.u.

The structure in Quantum ESPRESSO input format:
```
&SYSTEM
  ibrav = 0, nat = 18, ntyp = 3
/
ATOMIC_SPECIES
Zr 91.22 Zr.upf
Sn 118.71 Sn.upf
O 16.00 O.upf
ATOMIC_POSITIONS crystal
Zr 0.000 0.230 0.250
Zr 0.000 0.770 0.750
Zr 0.230 0.000 0.250
Zr 0.230 0.230 0.750
Zr 0.333 0.667 0.000
Zr 0.333 0.667 0.500
Zr 0.667 0.333 0.000
Zr 0.667 0.333 0.500
Zr 0.770 0.000 0.750
Zr 0.770 0.770 0.250
Sn 0.000 0.403 0.750
Sn 0.000 0.597 0.250
Sn 0.403 0.000 0.750
Sn 0.403 0.403 0.250
Sn 0.597 0.000 0.250
Sn 0.597 0.597 0.750
O 0.000 0.000 0.000
O 0.000 0.000 0.500
CELL_PARAMETERS angstrom
8.446 0.000 0.000
-4.223 7.314 0.000
0.000 0.000 5.763
```


[5]
First-principles (meta-GGA r2SCAN) data for RbDyO2 after structural relaxation, as listed in the Materials Project. Values from VASP.

Results
Its space group is No. 166. The energy is -17.455 eV per atom. As for the crystal system: trigonal. The total moment is 0.00 μB/f.u.

The structure in Quantum ESPRESSO input format:
```
&SYSTEM
  ibrav = 0, nat = 4, ntyp = 3
/
ATOMIC_SPECIES
Rb 85.47 Rb.upf
Dy 162.50 Dy.upf
O 16.00 O.upf
ATOMIC_POSITIONS crystal
Rb 0.000 0.000 0.000
Dy 0.500 0.500 0.500
O 0.225 0.225 0.225
O 0.775 0.775 0.775
CELL_PARAMETERS angstrom
1.739 1.004 6.510
-1.739 1.004 6.510
0.000 -2.008 6.510
```


[6]
First-principles (meta-GGA r2SCAN) data for PrCdCu after structural relaxation, as listed in the Materials Project. Values from VASP.

Results
Its space group is No. 189. The energy is -20.388 eV per atom. As for the crystal system: hexagonal. The total moment is 0.00 μB/f.u.

The structure in Quantum ESPRESSO input format:
```
&SYSTEM
  ibrav = 0, nat = 9, ntyp = 3
/
ATOMIC_SPECIES
Pr 140.91 Pr.upf
Cd 112.41 Cd.upf
Cu 63.55 Cu.upf
ATOMIC_POSITIONS crystal
Pr 0.000 0.414 0.000
Pr 0.414 0.000 0.000
Pr 0.586 0.586 0.000
Cd 0.000 0.756 0.500
Cd 0.244 0.244 0.500
Cd 0.756 0.000 0.500
Cu 0.000 0.000 0.000
Cu 0.333 0.667 0.500
Cu 0.667 0.333 0.500
CELL_PARAMETERS angstrom
7.639 0.000 0.000
-3.819 6.615 0.000
0.000 0.000 4.028
```


[7]
First-principles (meta-GGA r2SCAN) data for XeF3 after structural relaxation, as listed in the Materials Project. Values from VASP.

Results
Its space group is No. 14. The energy is -8.779 eV per atom. As for the crystal system: monoclinic. The total moment is 0.00 μB/f.u.

The structure in Quantum ESPRESSO input format:
```
&SYSTEM
  ibrav = 0, nat = 16, ntyp = 2
/
ATOMIC_SPECIES
Xe 131.29 Xe.upf
F 19.00 F.upf
ATOMIC_POSITIONS crystal
Xe 0.000 0.000 0.000
Xe 0.000 0.500 0.500
Xe 0.500 0.000 0.500
Xe 0.500 0.500 0.000
F 0.002 0.088 0.304
F 0.002 0.412 0.804
F 0.289 0.102 0.976
F 0.289 0.398 0.476
F 0.320 0.690 0.835
F 0.320 0.810 0.335
F 0.680 0.190 0.665
F 0.680 0.310 0.165
F 0.711 0.602 0.524
F 0.711 0.898 0.024
F 0.998 0.588 0.196
F 0.998 0.912 0.696
CELL_PARAMETERS angstrom
6.435 0.000 0.000
0.000 7.333 0.000
-0.297 0.000 6.291
```


[8]
First-principles (meta-GGA r2SCAN) data for Ta4SiTe4 after structural relaxation, as listed in the Materials Project. Values from VASP.

Results
Its space group is No. 55. The energy is -34.451 eV per atom. As for the crystal system: orthorhombic. The total moment is 0.00 μB/f.u.

The structure in Quantum ESPRESSO input format:
```
&SYSTEM
  ibrav = 0, nat = 36, ntyp = 3
/
ATOMIC_SPECIES
Ta 180.95 Ta.upf
Si 28.09 Si.upf
Te 127.60 Te.upf
ATOMIC_POSITIONS crystal
Ta 0.063 0.115 0.000
Ta 0.097 0.893 0.500
Ta 0.186 0.056 0.500
Ta 0.201 0.964 0.000
Ta 0.299 0.464 0.000
Ta 0.314 0.556 0.500
Ta 0.403 0.393 0.500
Ta 0.437 0.615 0.000
Ta 0.563 0.385 0.000
Ta 0.597 0.607 0.500
Ta 0.686 0.444 0.500
Ta 0.701 0.536 0.000
Ta 0.799 0.036 0.000
Ta 0.814 0.944 0.500
Ta 0.903 0.107 0.500
Ta 0.937 0.885 0.000
Si 0.000 0.000 0.250
Si 0.000 0.000 0.750
Si 0.500 0.500 0.250
Si 0.500 0.500 0.750
Te 0.107 0.199 0.500
Te 0.155 0.438 0.500
Te 0.167 0.816 0.000
Te 0.179 0.597 0.000
Te 0.321 0.097 0.000
Te 0.333 0.316 0.000
Te 0.345 0.938 0.500
Te 0.393 0.699 0.500
Te 0.607 0.301 0.500
Te 0.655 0.062 0.500
Te 0.667 0.684 0.000
Te 0.679 0.903 0.000
Te 0.821 0.403 0.000
Te 0.833 0.184 0.000
Te 0.845 0.562 0.500
Te 0.893 0.801 0.500
CELL_PARAMETERS angstrom
10.969 0.000 0.000
0.000 19.050 0.000
0.000 0.000 4.806
```


[9]
First-principles (meta-GGA r2SCAN) data for Ba2HgS5 after structural relaxation, as listed in the Materials Project. Values from VASP.

Results
Its space group is No. 62. The energy is -19.121 eV per atom. As for the crystal system: orthorhombic. The total moment is 0.00 μB/f.u.

The structure in Quantum ESPRESSO input format:
```
&SYSTEM
  ibrav = 0, nat = 32, ntyp = 3
/
ATOMIC_SPECIES
Ba 137.33 Ba.upf
Hg 200.59 Hg.upf
S 32.06 S.upf
ATOMIC_POSITIONS crystal
Ba 0.189 0.006 0.143
Ba 0.189 0.494 0.143
Ba 0.311 0.506 0.643
Ba 0.311 0.994 0.643
Ba 0.689 0.006 0.357
Ba 0.689 0.494 0.357
Ba 0.811 0.506 0.857
Ba 0.811 0.994 0.857
Hg 0.009 0.750 0.488
Hg 0.491 0.250 0.988
Hg 0.509 0.750 0.012
Hg 0.991 0.250 0.512
S 0.027 0.750 0.930
S 0.067 0.554 0.806
S 0.067 0.946 0.806
S 0.177 0.250 0.443
S 0.193 0.750 0.410
S 0.307 0.250 0.910
S 0.323 0.750 0.943
S 0.433 0.054 0.306
S 0.433 0.446 0.306
S 0.473 0.250 0.430
S 0.527 0.750 0.570
S 0.567 0.554 0.694
S 0.567 0.946 0.694
S 0.677 0.250 0.057
S 0.693 0.750 0.090
S 0.807 0.250 0.590
S 0.823 0.750 0.557
S 0.933 0.054 0.194
S 0.933 0.446 0.194
S 0.973 0.250 0.070
CELL_PARAMETERS angstrom
12.277 0.000 0.000
0.000 8.758 0.000
0.000 0.000 8.470
```


[10]
First-principles (meta-GGA r2SCAN) data for LiMgCl3 after structural relaxation, as listed in the Materials Project. Values from VASP.

Results
The energy is -7.048 eV per atom. The total moment is 0.00 μB/f.u.

The structure in Quantum ESPRESSO input format:
```
&SYSTEM
  ibrav = 0, nat = 30, ntyp = 3
/
ATOMIC_SPECIES
Li 6.94 Li.upf
Mg 24.30 Mg.upf
Cl 35.45 Cl.upf
ATOMIC_POSITIONS crystal
Li 0.667 0.333 0.187
Li 0.000 0.000 0.146
Li 0.333 0.667 0.520
Li 0.667 0.333 0.480
Li 0.000 0.000 0.854
Li 0.333 0.667 0.813
Mg 0.333 0.667 0.326
Mg 0.333 0.667 0.007
Mg 0.000 0.000 0.660
Mg 0.000 0.000 0.340
Mg 0.667 0.333 0.993
Mg 0.667 0.333 0.674
Cl 0.680 0.990 0.251
Cl 0.010 0.690 0.251
Cl 0.357 0.013 0.082
Cl 0.987 0.344 0.082
Cl 0.656 0.643 0.082
Cl 0.310 0.320 0.251
Cl 0.346 0.323 0.585
Cl 0.677 0.023 0.585
Cl 0.023 0.346 0.415
Cl 0.654 0.677 0.415
Cl 0.323 0.977 0.415
Cl 0.977 0.654 0.585
Cl 0.013 0.656 0.918
Cl 0.344 0.357 0.918
Cl 0.690 0.680 0.749
Cl 0.320 0.010 0.749
Cl 0.990 0.310 0.749
Cl 0.643 0.987 0.918
CELL_PARAMETERS angstrom
-4.737 -0.672 -4.095
-0.457 -2.469 5.775
-7.101 14.834 5.780
```


[11]
First-principles (meta-GGA r2SCAN) data for LiErTl2 after structural relaxation, as listed in the Materials Project. Values from VASP.

Results
Its space group is No. 225. The energy is -36.043 eV per atom. As for the crystal system: cubic. The total moment is 0.00 μB/f.u.

The structure in Quantum ESPRESSO input format:
```
&SYSTEM
  ibrav = 0, nat = 4, ntyp = 3
/
ATOMIC_SPECIES
Li 6.94 Li.upf
Er 167.26 Er.upf
Tl 204.38 Tl.upf
ATOMIC_POSITIONS crystal
Li 0.000 0.000 0.000
Er 0.500 0.500 0.500
Tl 0.250 0.250 0.250
Tl 0.750 0.750 0.750
CELL_PARAMETERS angstrom
0.000 3.617 3.617
3.617 0.000 3.617
3.617 3.617 0.000
```


[12]
First-principles (meta-GGA r2SCAN) data for TaI5 after structural relaxation, as listed in the Materials Project. Values from VASP.

Results
Its space group is No. 62. The energy is -29.115 eV per atom. As for the crystal system: orthorhombic. The total moment is 0.00 μB/f.u.

The structure in Quantum ESPRESSO input format:
```
&SYSTEM
  ibrav = 0, nat = 48, ntyp = 2
/
ATOMIC_SPECIES
Ta 180.95 Ta.upf
I 126.90 I.upf
ATOMIC_POSITIONS crystal
Ta 0.126 0.140 0.002
Ta 0.126 0.360 0.002
Ta 0.374 0.640 0.502
Ta 0.374 0.860 0.502
Ta 0.626 0.140 0.498
Ta 0.626 0.360 0.498
Ta 0.874 0.640 0.998
Ta 0.874 0.860 0.998
I 0.027 0.651 0.228
I 0.027 0.849 0.228
I 0.044 0.059 0.247
I 0.044 0.441 0.247
I 0.051 0.250 0.226
I 0.202 0.250 0.777
I 0.208 0.059 0.755
I 0.208 0.441 0.755
I 0.221 0.651 0.731
I 0.221 0.849 0.731
I 0.279 0.151 0.231
I 0.279 0.349 0.231
I 0.292 0.559 0.255
I 0.292 0.941 0.255
I 0.298 0.750 0.277
I 0.449 0.750 0.726
I 0.456 0.559 0.747
I 0.456 0.941 0.747
I 0.473 0.151 0.728
I 0.473 0.349 0.728
I 0.527 0.651 0.272
I 0.527 0.849 0.272
I 0.544 0.059 0.253
I 0.544 0.441 0.253
I 0.551 0.250 0.274
I 0.702 0.250 0.723
I 0.708 0.059 0.745
I 0.708 0.441 0.745
I 0.721 0.651 0.769
I 0.721 0.849 0.769
I 0.779 0.151 0.269
I 0.779 0.349 0.269
I 0.792 0.559 0.245
I 0.792 0.941 0.245
I 0.798 0.750 0.223
I 0.949 0.750 0.774
I 0.956 0.559 0.753
I 0.956 0.941 0.753
I 0.973 0.151 0.772
I 0.973 0.349 0.772
CELL_PARAMETERS angstrom
14.467 0.000 0.000
0.000 20.494 0.000
0.000 0.000 6.831
```


[13]
First-principles (meta-GGA r2SCAN) data for Ta2Co3Ge after structural relaxation, as listed in the Materials Project. Values from VASP.

Results
Its space group is No. 194. The energy is -25.354 eV per atom. As for the crystal system: hexagonal. The total moment is 0.46 μB/f.u.

The structure in Quantum ESPRESSO input format:
```
&SYSTEM
  ibrav = 0, nat = 12, ntyp = 3
/
ATOMIC_SPECIES
Ta 180.95 Ta.upf
Co 58.93 Co.upf
Ge 72.64 Ge.upf
ATOMIC_POSITIONS crystal
Ta 0.333 0.667 0.061
Ta 0.333 0.667 0.439
Ta 0.667 0.333 0.561
Ta 0.667 0.333 0.939
Co 0.171 0.343 0.750
Co 0.171 0.829 0.750
Co 0.343 0.171 0.250
Co 0.657 0.829 0.750
Co 0.829 0.171 0.250
Co 0.829 0.657 0.250
Ge 0.000 0.000 0.000
Ge 0.000 0.000 0.500
CELL_PARAMETERS angstrom
4.850 0.000 0.000
-2.425 4.200 0.000
0.000 0.000 7.581
```


[14]
First-principles (meta-GGA r2SCAN) data for Cs2P3Se6 after structural relaxation, as listed in the Materials Project. Values from VASP.

Results
Its space group is No. 14. The energy is -15.450 eV per atom. As for the crystal system: monoclinic. The total moment is 0.00 μB/f.u.

The structure in Quantum ESPRESSO input format:
```
&SYSTEM
  ibrav = 0, nat = 44, ntyp = 3
/
ATOMIC_SPECIES
Cs 132.91 Cs.upf
P 30.97 P.upf
Se 78.96 Se.upf
ATOMIC_POSITIONS crystal
Cs 0.156 0.001 0.179
Cs 0.156 0.499 0.679
Cs 0.256 0.501 0.245
Cs 0.256 0.999 0.745
Cs 0.744 0.001 0.255
Cs 0.744 0.499 0.755
Cs 0.844 0.501 0.321
Cs 0.844 0.999 0.821
P 0.141 0.700 0.945
P 0.141 0.800 0.445
P 0.353 0.684 0.556
P 0.353 0.816 0.056
P 0.496 0.549 0.061
P 0.496 0.951 0.561
P 0.504 0.049 0.439
P 0.504 0.451 0.939
P 0.647 0.184 0.944
P 0.647 0.316 0.444
P 0.859 0.200 0.555
P 0.859 0.300 0.055
Se 0.003 0.711 0.000
Se 0.003 0.789 0.500
Se 0.036 0.744 0.781
Se 0.036 0.756 0.281
Se 0.247 0.503 0.986
Se 0.247 0.997 0.486
Se 0.300 0.006 0.010
Se 0.300 0.494 0.510
Se 0.457 0.735 0.718
Se 0.457 0.765 0.218
Se 0.486 0.742 0.996
Se 0.486 0.758 0.496
Se 0.514 0.242 0.504
Se 0.514 0.258 0.004
Se 0.543 0.235 0.782
Se 0.543 0.265 0.282
Se 0.700 0.506 0.490
Se 0.700 0.994 0.990
Se 0.753 0.003 0.514
Se 0.753 0.497 0.014
Se 0.964 0.244 0.719
Se 0.964 0.256 0.219
Se 0.997 0.211 0.500
Se 0.997 0.289 0.000
CELL_PARAMETERS angstrom
11.023 0.000 0.000
0.000 10.761 0.000
-9.112 0.000 12.527
```


[15]
First-principles (meta-GGA r2SCAN) data for ZnSnN2 after structural relaxation, as listed in the Materials Project. Values from VASP.

Results
Its space group is No. 33. The energy is -13.090 eV per atom. As for the crystal system: orthorhombic. The total moment is 0.00 μB/f.u.

The structure in Quantum ESPRESSO input format:
```
&SYSTEM
  ibrav = 0, nat = 16, ntyp = 3
/
ATOMIC_SPECIES
Zn 65.41 Zn.upf
Sn 118.71 Sn.upf
N 14.01 N.upf
ATOMIC_POSITIONS crystal
Zn 0.083 0.125 0.000
Zn 0.417 0.625 0.500
Zn 0.583 0.375 0.000
Zn 0.917 0.875 0.500
Sn 0.088 0.625 0.000
Sn 0.412 0.125 0.500
Sn 0.588 0.875 0.000
Sn 0.912 0.375 0.500
N 0.080 0.124 0.375
N 0.082 0.626 0.380
N 0.418 0.126 0.880
N 0.420 0.624 0.875
N 0.580 0.376 0.375
N 0.582 0.874 0.380
N 0.918 0.374 0.880
N 0.920 0.876 0.875
CELL_PARAMETERS angstrom
5.854 0.000 0.000
0.000 6.737 0.000
0.000 0.000 5.481
```


[16]
First-principles (meta-GGA r2SCAN) data for NaCu4Sb2 after structural relaxation, as listed in the Materials Project. Values from VASP.

Results
Its space group is No. 166. The energy is -14.172 eV per atom. As for the crystal system: trigonal. The total moment is 0.00 μB/f.u.

The structure in Quantum ESPRESSO input format:
```
&SYSTEM
  ibrav = 0, nat = 7, ntyp = 3
/
ATOMIC_SPECIES
Na 22.99 Na.upf
Cu 63.55 Cu.upf
Sb 121.76 Sb.upf
ATOMIC_POSITIONS crystal
Na 0.000 0.000 0.000
Cu 0.143 0.143 0.143
Cu 0.450 0.450 0.450
Cu 0.550 0.550 0.550
Cu 0.857 0.857 0.857
Sb 0.249 0.249 0.249
Sb 0.751 0.751 0.751
CELL_PARAMETERS angstrom
2.119 1.223 8.433
-2.119 1.223 8.433
0.000 -2.447 8.433
```


So what do the calculations give for mass density? Going down the list: 6.97, 14.50, 6.41, 7.73, 6.82, 7.75, 4.21, 8.35, 4.64, 2.29, 10.23, 5.35, 13.15, 3.72, 6.52, 6.59 g/cm³.
So what do the calculations give for formation enthalpy at 0 K? Going down the list: -77.6, -60.1, -46.0, -111.1, -288.5, -26.0, -44.7, -56.3, -125.8, -197.4, -36.3, -53.1, -22.0, -60.1, -10.7, -11.6 kJ per mole of atoms.